[1]
K2Se2O5 PBE relaxed; magnetic moment = 0.00 μB per formula unit; formation enthalpy at 0 K = -1.67 eV per atom
1.0
-9.795 1.748 -0.817
0.011 -4.556 -9.874
-4.975 -22.937 10.577
K Se O
32 32 80
Direct
0.525 0.496 0.870
0.001 0.792 0.992
0.475 0.504 0.130
0.108 0.497 0.126
0.459 0.752 0.745
0.541 0.248 0.255
0.501 0.708 0.992
0.499 0.792 0.492
0.999 0.708 0.492
0.501 0.208 0.508
0.975 0.496 0.370
0.975 0.996 0.130
0.959 0.748 0.745
0.892 0.503 0.874
0.959 0.248 0.755
0.459 0.252 0.755
0.608 0.503 0.374
0.108 0.997 0.374
0.025 0.504 0.630
0.001 0.292 0.508
0.041 0.252 0.255
0.541 0.748 0.245
0.392 0.997 0.874
0.475 0.004 0.370
0.041 0.752 0.245
0.608 0.003 0.126
0.999 0.208 0.008
0.525 0.996 0.630
0.892 0.003 0.626
0.392 0.497 0.626
0.025 0.004 0.870
0.499 0.292 0.008
0.287 0.492 0.487
0.713 0.508 0.513
0.326 0.297 0.388
0.303 0.202 0.139
0.214 0.004 0.739
0.713 0.008 0.987
0.803 0.298 0.139
0.714 0.496 0.739
0.786 0.496 0.239
0.786 0.996 0.261
0.214 0.504 0.761
0.174 0.797 0.612
0.826 0.203 0.388
0.287 0.992 0.013
0.787 0.508 0.013
0.286 0.504 0.261
0.826 0.703 0.112
0.213 0.992 0.513
0.213 0.492 0.987
0.174 0.297 0.888
0.303 0.702 0.361
0.787 0.008 0.487
0.803 0.798 0.361
0.197 0.702 0.861
0.674 0.703 0.612
0.697 0.298 0.639
0.697 0.798 0.861
0.286 0.004 0.239
0.326 0.797 0.112
0.197 0.202 0.639
0.674 0.203 0.888
0.714 0.996 0.761
0.526 0.722 0.643
0.118 0.591 0.813
0.263 0.322 0.178
0.551 0.760 0.890
0.196 0.668 0.576
0.804 0.332 0.424
0.136 0.991 0.043
0.949 0.760 0.390
0.603 0.591 0.561
0.304 0.168 0.424
0.285 0.107 0.288
0.215 0.607 0.712
0.618 0.909 0.813
0.873 0.997 0.784
0.449 0.240 0.110
0.785 0.893 0.212
0.696 0.832 0.576
0.364 0.491 0.957
0.397 0.409 0.439
0.636 0.509 0.043
0.397 0.909 0.061
0.763 0.178 0.178
0.026 0.278 0.857
0.364 0.991 0.543
0.263 0.822 0.322
0.763 0.678 0.322
0.778 0.113 0.535
0.897 0.091 0.439
0.897 0.591 0.061
0.722 0.613 0.465
0.237 0.322 0.678
0.636 0.009 0.457
0.222 0.887 0.465
0.627 0.497 0.216
0.882 0.909 0.313
0.051 0.240 0.610
0.127 0.503 0.284
0.864 0.009 0.957
0.737 0.678 0.822
0.804 0.832 0.076
0.627 0.997 0.284
0.285 0.607 0.212
0.974 0.722 0.143
0.696 0.332 0.924
0.237 0.822 0.822
0.382 0.591 0.313
0.474 0.278 0.357
0.882 0.409 0.187
0.215 0.107 0.788
0.785 0.393 0.288
0.974 0.222 0.357
0.278 0.387 0.535
0.526 0.222 0.857
0.737 0.178 0.678
0.864 0.509 0.543
0.103 0.909 0.561
0.873 0.497 0.716
0.026 0.778 0.643
0.449 0.740 0.390
0.304 0.668 0.076
0.373 0.503 0.784
0.196 0.168 0.924
0.373 0.003 0.716
0.382 0.091 0.187
0.118 0.091 0.687
0.949 0.260 0.110
0.278 0.887 0.965
0.222 0.387 0.035
0.127 0.003 0.216
0.551 0.260 0.610
0.051 0.740 0.890
0.778 0.613 0.965
0.722 0.113 0.035
0.103 0.409 0.939
0.715 0.893 0.712
0.603 0.091 0.939
0.715 0.393 0.788
0.136 0.491 0.457
0.618 0.409 0.687
0.474 0.778 0.143

=====

[2]
K3Se2O8 PBE relaxed; magnetic moment = 1.00 μB per formula unit; formation enthalpy at 0 K = -1.60 eV per atom
1.0
-4.100 -6.812 1.903
-0.349 -5.211 6.291
-7.914 3.696 5.418
K Se O
6 4 16
Direct
0.763 0.237 0.250
0.237 0.763 0.750
0.930 0.459 0.848
0.459 0.930 0.348
0.070 0.541 0.152
0.541 0.070 0.652
0.339 0.890 0.038
0.890 0.339 0.538
0.661 0.110 0.962
0.110 0.661 0.462
0.166 0.151 0.101
0.151 0.166 0.601
0.834 0.849 0.899
0.849 0.834 0.399
0.184 0.816 0.066
0.816 0.184 0.566
0.816 0.184 0.934
0.184 0.816 0.434
0.404 0.906 0.874
0.906 0.404 0.374
0.596 0.094 0.126
0.094 0.596 0.626
0.588 0.666 0.118
0.666 0.588 0.618
0.412 0.334 0.882
0.334 0.412 0.382

=====

[3]
K2Se2O7 PBE relaxed; formation enthalpy at 0 K = -1.55 eV per atom
1.0
3.893 6.622 0.000
-3.893 6.622 0.000
0.000 0.429 7.670
K Se O
4 4 14
Direct
0.795 0.496 0.636
0.504 0.205 0.864
0.205 0.504 0.364
0.496 0.795 0.136
0.285 0.925 0.631
0.075 0.715 0.869
0.715 0.075 0.369
0.925 0.285 0.131
0.353 0.759 0.477
0.241 0.647 0.023
0.647 0.241 0.523
0.759 0.353 0.977
0.462 0.858 0.774
0.142 0.538 0.726
0.538 0.142 0.226
0.858 0.462 0.274
0.185 0.159 0.564
0.841 0.815 0.936
0.815 0.841 0.436
0.159 0.185 0.064
0.068 0.932 0.750
0.932 0.068 0.250

=====

[4]
K3Se2O8 PBE relaxed; magnetic moment = 1.01 μB per formula unit; formation enthalpy at 0 K = -1.54 eV per atom
1.0
3.288 -5.694 0.000
3.288 5.694 0.000
0.000 0.000 7.747
K Se O
3 2 8
Direct
0.333 0.667 0.192
0.667 0.333 0.808
0.000 0.000 0.000
0.333 0.667 0.739
0.667 0.333 0.261
0.804 0.196 0.181
0.196 0.804 0.819
0.804 0.608 0.181
0.196 0.392 0.819
0.392 0.196 0.181
0.608 0.804 0.819
0.333 0.667 0.525
0.667 0.333 0.475

=====

[5]
KSrSmSeO6 PBE relaxed; magnetic moment = 0.00 μB per formula unit; formation enthalpy at 0 K = -2.41 eV per atom
1.0
0.000 -4.107 -4.107
4.107 0.000 -4.107
4.107 -4.107 0.000
K Sr Sm Se O
1 1 1 1 6
Direct
0.250 0.250 0.250
0.750 0.750 0.750
0.500 0.500 0.500
0.000 0.000 0.000
0.777 0.223 0.223
0.223 0.777 0.777
0.777 0.223 0.777
0.223 0.777 0.223
0.777 0.777 0.223
0.223 0.223 0.777

=====

[6]
K8Sn8Se20O9 PBE relaxed; magnetic moment = 0.00 μB per formula unit; formation enthalpy at 0 K = -0.86 eV per atom
1.0
8.203 -7.642 0.000
8.203 7.642 0.000
1.084 0.000 11.158
K Sn Se O
8 8 20 9
Direct
0.104 0.104 0.104
0.916 0.916 0.916
0.621 0.207 0.520
0.520 0.621 0.207
0.207 0.520 0.621
0.391 0.803 0.487
0.487 0.391 0.803
0.803 0.487 0.391
0.086 0.119 0.534
0.534 0.086 0.119
0.119 0.534 0.086
0.899 0.882 0.461
0.461 0.899 0.882
0.882 0.461 0.899
0.310 0.310 0.310
0.687 0.687 0.687
0.083 0.315 0.386
0.386 0.083 0.315
0.315 0.386 0.083
0.912 0.686 0.604
0.604 0.912 0.686
0.686 0.604 0.912
0.119 0.937 0.393
0.393 0.119 0.937
0.937 0.393 0.119
0.871 0.058 0.608
0.608 0.871 0.058
0.058 0.608 0.871
0.207 0.157 0.750
0.750 0.207 0.157
0.157 0.750 0.207
0.775 0.838 0.276
0.276 0.775 0.838
0.838 0.276 0.775
0.429 0.429 0.429
0.568 0.568 0.568
0.309 0.719 0.698
0.698 0.309 0.719
0.719 0.698 0.309
0.713 0.247 0.298
0.298 0.713 0.247
0.247 0.298 0.713
0.848 0.084 0.156
0.156 0.848 0.084
0.084 0.156 0.848

=====

[7]
KYSe2O6 PBE relaxed; magnetic moment = 0.00 μB per formula unit; formation enthalpy at 0 K = -2.22 eV per atom
1.0
5.818 0.000 0.000
0.000 8.840 0.000
0.000 0.000 13.629
K Y Se O
4 4 8 24
Direct
0.250 0.996 0.625
0.250 0.504 0.125
0.750 0.004 0.375
0.750 0.496 0.875
0.250 0.809 0.902
0.250 0.691 0.402
0.750 0.191 0.098
0.750 0.309 0.598
0.750 0.012 0.795
0.750 0.488 0.295
0.250 0.988 0.205
0.250 0.512 0.705
0.750 0.720 0.568
0.750 0.780 0.068
0.250 0.280 0.432
0.250 0.220 0.932
0.982 0.891 0.792
0.518 0.609 0.292
0.482 0.109 0.208
0.018 0.391 0.708
0.018 0.109 0.208
0.482 0.391 0.708
0.518 0.891 0.792
0.982 0.609 0.292
0.750 0.079 0.676
0.750 0.421 0.176
0.250 0.921 0.324
0.250 0.579 0.824
0.980 0.797 0.505
0.520 0.703 0.005
0.480 0.203 0.495
0.020 0.297 0.995
0.020 0.203 0.495
0.480 0.297 0.995
0.520 0.797 0.505
0.980 0.703 0.005
0.750 0.537 0.526
0.750 0.963 0.026
0.250 0.463 0.474
0.250 0.037 0.974

=====

[8]
KSiO3 PBE relaxed; magnetic moment = 0.37 μB per formula unit; formation enthalpy at 0 K = -2.14 eV per atom
1.0
-2.732 -1.256 -2.127
0.618 -3.418 1.224
-2.392 0.551 2.746
K Si O
1 1 3
Direct
0.000 0.000 0.000
0.500 0.500 0.500
0.500 0.500 0.000
0.500 0.000 0.500
0.000 0.500 0.500

=====

[9]
KSi2O4 PBE relaxed; magnetic moment = 0.01 μB per formula unit; formation enthalpy at 0 K = -2.60 eV per atom
1.0
2.758 -4.777 0.000
2.758 4.777 0.000
0.000 0.000 8.535
K Si O
2 4 8
Direct
0.000 0.000 0.250
0.000 0.000 0.750
0.333 0.667 0.055
0.667 0.333 0.555
0.333 0.667 0.445
0.667 0.333 0.945
0.333 0.667 0.250
0.667 0.333 0.750
0.500 0.500 0.500
0.500 0.000 0.500
0.500 0.500 0.000
0.000 0.500 0.500
0.500 0.000 0.000
0.000 0.500 0.000

=====

[10]
KSiO3 PBE relaxed; magnetic moment = 1.00 μB per formula unit; formation enthalpy at 0 K = -2.46 eV per atom
1.0
5.044 -5.899 0.000
5.044 5.899 0.000
0.000 0.000 11.262
K Si O
8 8 24
Direct
0.986 0.486 0.250
0.514 0.014 0.750
0.014 0.514 0.750
0.486 0.986 0.250
0.322 0.322 0.468
0.678 0.678 0.532
0.178 0.178 0.968
0.822 0.822 0.032
0.991 0.991 0.316
0.009 0.009 0.684
0.509 0.509 0.816
0.491 0.491 0.184
0.196 0.804 0.500
0.696 0.304 0.000
0.804 0.196 0.500
0.304 0.696 0.000
0.045 0.045 0.180
0.955 0.955 0.820
0.455 0.455 0.680
0.545 0.545 0.320
0.159 0.937 0.391
0.063 0.841 0.609
0.563 0.341 0.891
0.659 0.437 0.109
0.841 0.063 0.609
0.937 0.159 0.391
0.437 0.659 0.109
0.341 0.563 0.891
0.833 0.833 0.290
0.167 0.167 0.710
0.667 0.667 0.790
0.333 0.333 0.210
0.160 0.600 0.466
0.400 0.840 0.534
0.900 0.340 0.966
0.660 0.100 0.034
0.840 0.400 0.534
0.600 0.160 0.466
0.100 0.660 0.034
0.340 0.900 0.966